No. 1
Entry from the Materials Project database: a geometry-optimized YbTiO3 structure (r2SCAN).

E_tot = -16.988 eV per atom
Total moment = 0.20 μB/atom
Energy of formation = -3.511 eV/atom
Calculated volume = 12.01 Å³ per atom

abc: 5.3997 5.3997 14.2688
angles: 90.00 90.00 120.00
Space group R-3 (No. 148, hexagonal axes)
Inequivalent atoms, fractional coordinates:
Yb (0.0000, 0.0000, 0.1404) x6
Ti (0.0000, 0.0000, 0.3483) x6
O (0.0180, 0.7086, 0.2540) x18



No. 2
Entry from the Materials Project database: a geometry-optimized MoCl5 structure (r2SCAN).

E_tot = -10.408 eV per atom
Total moment = 0.17 μB/atom
Energy of formation = -0.936 eV/atom
Calculated volume = 26.77 Å³ per atom

abc: 11.688 17.857 6.155
angles: 90.00 90.00 90.00
Space group Pnma (No. 62)
Inequivalent atoms, fractional coordinates:
Mo (0.124, 0.143, 0.089) x8
Cl (0.006, 0.156, 0.800) x8
Cl (0.010, 0.057, 0.254) x8
Cl (0.012, 0.250, 0.254) x4
Cl (0.237, 0.250, 0.926) x4
Cl (0.238, 0.058, 0.924) x8
Cl (0.241, 0.156, 0.380) x8



Q: energy of formation of number 1 (YbTiO3)?
A: -3.511 eV/atom



Q: What is the energy of formation in the second record?
A: -0.936 eV/atom



Q: Which formula does entry 2 have?
A: MoCl5